P:
A geometry-optimized Ca3BiP structure, computed with PBE.

Structure (POSCAR):
```
Ca3BiP
1.0
5.4259 0.0000 0.0000
0.0000 5.4259 0.0000
0.0000 0.0000 5.4259
Ca Bi P
3 1 1
Cartesian
0.0000 0.0000 2.7129 Ca
0.0000 2.7129 0.0000 Ca
2.7129 0.0000 0.0000 Ca
2.7129 2.7129 2.7129 Bi
0.0000 0.0000 0.0000 P
```

- symmetry = No. 221

Q:
A geometry-optimized Ca3BiP structure, computed with PBE.

Structure (POSCAR):
```
Ca3BiP
1.0
5.8200 0.0000 0.0000
0.0000 5.8200 0.0000
0.0000 0.0000 5.8200
Ca Bi P
3 1 1
Cartesian
0.0000 0.0000 2.9100 Ca
0.0000 2.9100 0.0000 Ca
2.9100 0.0000 0.0000 Ca
0.0000 0.0000 0.0000 Bi
2.9100 2.9100 2.9100 P
```

- symmetry = No. 221

Verdict on stability: P comes out on top.

P:
A geometry-optimized Ca3BiSb structure, computed with PBE.

Structure (POSCAR):
```
Ca3BiSb
1.0
5.8100 0.0000 0.0000
0.0000 5.8100 0.0000
0.0000 0.0000 5.8100
Ca Bi Sb
3 1 1
Cartesian
0.0000 0.0000 2.9050 Ca
0.0000 2.9050 0.0000 Ca
2.9050 0.0000 0.0000 Ca
2.9050 2.9050 2.9050 Bi
0.0000 0.0000 0.0000 Sb
```

- symmetry = No. 221

Q:
A geometry-optimized Ca3BiSb structure, computed with PBE.

Structure (POSCAR):
```
Ca3BiSb
1.0
5.8600 0.0000 0.0000
0.0000 5.8600 0.0000
0.0000 0.0000 5.8600
Ca Bi Sb
3 1 1
Cartesian
0.0000 0.0000 2.9300 Ca
0.0000 2.9300 0.0000 Ca
2.9300 0.0000 0.0000 Ca
0.0000 0.0000 0.0000 Bi
2.9300 2.9300 2.9300 Sb
```

- symmetry = No. 221

Verdict on stability: P comes out on top.

P:
A geometry-optimized Mg6CdBi structure, computed with PBE.

Structure (POSCAR):
```
Mg6CdBi
1.0
-1.0219 -2.7921 4.4861
0.8265 -5.5647 -3.2752
10.6336 0.1126 2.4922
Mg Cd Bi
12 2 2
Cartesian
5.9025 -2.7189 2.8806 Mg
6.3165 -5.5065 1.2399 Mg
4.6500 -1.3653 0.2094 Mg
5.0570 -4.1054 -1.4032 Mg
7.0911 0.0751 1.6620 Mg
1.7505 0.0185 0.4103 Mg
0.9989 -5.5575 -0.0031 Mg
0.5864 -2.7804 1.6314 Mg
10.3801 -4.0914 -0.1820 Mg
9.9605 -1.2667 1.4805 Mg
2.1875 -2.7636 -1.2217 Mg
7.4806 -2.7075 0.0188 Mg
8.3416 -1.3023 4.3178 Cd
3.4380 -4.1410 1.4341 Cd
3.0347 -1.3585 3.0740 Bi
8.7647 -4.0846 2.6826 Bi
```

Q:
A geometry-optimized Mg6CdBi structure, computed with PBE.

Structure (POSCAR):
```
Mg6CdBi
1.0
-4.9993 -0.9027 1.8833
1.2067 -6.1582 0.2513
3.7414 1.1611 10.4881
Mg Cd Bi
12 2 2
Cartesian
0.6120 -1.4265 0.9408 Mg
1.2215 -4.5372 1.0678 Mg
1.2416 0.3853 3.4805 Mg
-0.0516 -4.5841 5.4591 Mg
-0.6523 -1.5182 5.3340 Mg
-1.8724 -0.2567 2.7001 Mg
3.0861 -3.9250 6.3105 Mg
2.4889 -0.8775 6.1862 Mg
3.7156 -2.1132 8.8502 Mg
1.2158 -0.9245 10.5775 Mg
1.8217 -4.0167 10.7037 Mg
0.6017 -2.7552 8.0698 Mg
1.9060 -2.6748 3.7773 Cd
3.1734 0.9848 8.8957 Cd
-1.3006 -3.3456 2.7374 Bi
-0.0332 0.3141 7.8558 Bi
```

Verdict on stability: Q comes out on top.

P:
A geometry-optimized Mg6CdBiO8 structure, computed with PBE.

Structure (POSCAR):
```
Mg6CdBiO8
1.0
4.5749 0.0000 0.0000
0.0000 4.5749 0.0000
0.0000 0.0000 9.1893
Mg Cd Bi O
6 1 1 8
Cartesian
0.0000 0.0000 0.0000 Mg
0.0000 0.0000 4.5947 Mg
0.0000 2.2874 2.1607 Mg
0.0000 2.2874 7.0286 Mg
2.2874 0.0000 2.1607 Mg
2.2874 0.0000 7.0286 Mg
2.2874 2.2874 0.0000 Cd
2.2874 2.2874 4.5947 Bi
0.0000 0.0000 2.3242 O
0.0000 0.0000 6.8651 O
0.0000 2.2874 0.0000 O
0.0000 2.2874 4.5947 O
2.2874 0.0000 0.0000 O
2.2874 0.0000 4.5947 O
2.2874 2.2874 2.2774 O
2.2874 2.2874 6.9119 O
```

- symmetry = No. 123

Q:
A geometry-optimized Mg6CdBiO8 structure, computed with PBE.

Structure (POSCAR):
```
Mg6CdBiO8
1.0
4.5996 0.0000 0.0000
0.0000 4.5996 0.0000
0.0000 0.0000 8.9969
Mg Cd Bi O
6 1 1 8
Cartesian
0.0000 0.0000 0.0000 Mg
0.0000 2.2998 2.0640 Mg
0.0000 2.2998 6.9330 Mg
2.2998 0.0000 2.0640 Mg
2.2998 0.0000 6.9330 Mg
2.2998 2.2998 0.0000 Mg
0.0000 0.0000 4.4985 Cd
2.2998 2.2998 4.4985 Bi
0.0000 0.0000 2.0404 O
0.0000 0.0000 6.9565 O
0.0000 2.2998 0.0000 O
0.0000 2.2998 4.4985 O
2.2998 0.0000 0.0000 O
2.2998 0.0000 4.4985 O
2.2998 2.2998 2.0573 O
2.2998 2.2998 6.9396 O
```

- symmetry = No. 123

Verdict on stability: Q comes out on top.

P:
A geometry-optimized Cd2Bi6O11 structure, computed with PBE.

Structure (POSCAR):
```
Cd2Bi6O11
1.0
3.6755 0.0000 0.0000
0.0498 3.6869 0.0000
0.0555 0.6952 23.8500
Cd Bi O
2 6 11
Cartesian
0.0000 0.0000 0.0000 Cd
1.8260 1.8316 2.5388 Cd
0.1462 0.7372 11.1967 Bi
1.8700 2.7109 8.0274 Bi
1.9780 2.8114 20.9552 Bi
2.0483 2.7480 14.5179 Bi
3.5013 4.1725 17.8784 Bi
3.6923 0.7323 5.3008 Bi
0.0602 2.6741 6.6105 O
0.1630 3.9487 20.2700 O
0.1503 0.6876 9.0728 O
0.2240 3.8045 13.8718 O
1.8939 3.6366 3.8054 O
1.8647 0.8247 6.6802 O
1.8994 0.6810 22.5441 O
1.9340 2.0885 11.4077 O
1.9682 0.4971 16.1635 O
2.2990 2.3312 18.4659 O
3.6653 1.8348 1.2234 O
```

- symmetry = No. 1

Q:
A geometry-optimized Cd2Bi6O11 structure, computed with PBE.

Structure (POSCAR):
```
Cd2Bi6O11
1.0
7.5620 0.0000 0.0000
2.5796 7.2157 0.0000
0.3129 0.3716 12.2288
Cd Bi O
4 12 22
Cartesian
0.0000 0.0000 0.0000 Cd
2.3368 1.9834 9.2063 Cd
5.2750 3.7158 6.0950 Cd
7.6622 5.3883 9.0592 Cd
1.6721 3.8204 6.0692 Bi
2.0030 4.4430 12.1503 Bi
3.6781 5.3286 8.8156 Bi
4.1139 5.5703 2.8375 Bi
2.9871 1.5549 3.6709 Bi
6.1843 7.3037 6.6657 Bi
6.3004 7.2287 11.6910 Bi
5.6787 3.1913 0.2397 Bi
6.1941 1.9032 9.1744 Bi
6.1969 1.7222 3.1642 Bi
7.9229 5.4684 3.1067 Bi
7.4568 0.2814 6.0535 Bi
2.4245 5.8861 10.6013 O
1.7847 4.0622 8.4737 O
1.8784 4.0212 3.7081 O
0.9621 0.7897 7.8944 O
3.2098 5.3637 6.3762 O
2.1897 1.4875 11.3452 O
1.8325 0.3452 4.9816 O
3.6865 5.2590 0.7468 O
3.4560 2.5707 5.8620 O
5.3806 7.1888 2.1439 O
4.4135 3.0969 8.8527 O
5.8424 6.4931 9.6914 O
4.5968 0.3098 4.7026 O
5.9416 4.0456 2.2957 O
6.7190 5.1427 6.7904 O
5.5320 1.2913 11.1306 O
5.5872 0.2943 7.9054 O
7.5067 4.3402 11.1901 O
6.9947 2.5154 4.9991 O
8.3904 5.7031 1.0041 O
7.1904 1.8989 1.1377 O
9.7142 6.9414 3.2922 O
```

- symmetry = No. 1

Verdict on stability: P comes out on top.

P:
A geometry-optimized LiBi3Cl2O4 structure, computed with PBE.

Structure (POSCAR):
```
LiBi3Cl2O4
1.0
5.5143 0.0000 0.0000
0.0000 2.7570 6.1729
0.0000 -2.7570 6.1729
Li Bi Cl O
1 3 2 4
Cartesian
0.0000 0.0000 0.0000 Li
0.0000 0.0000 4.3912 Bi
2.7571 0.0000 6.7389 Bi
2.7571 0.0000 10.6059 Bi
0.0000 0.0000 8.8314 Cl
2.7571 0.0000 2.5377 Cl
1.3916 -1.3598 5.5759 O
1.3916 1.3598 5.5759 O
4.1227 -1.3598 5.5759 O
4.1227 1.3598 5.5759 O
```

- symmetry = No. 38

Q:
A geometry-optimized LiBi3Cl2O4 structure, computed with PBE.

Structure (POSCAR):
```
LiBi3Cl2O4
1.0
2.7553 -6.2175 0.0000
2.7553 6.2175 0.0000
0.0000 0.0000 10.9775
Li Bi Cl O
2 6 4 8
Cartesian
2.7553 3.5864 8.2331 Li
2.7553 -3.5864 2.7444 Li
2.7553 4.4069 2.7444 Bi
2.7553 1.9544 0.0698 Bi
2.7553 1.9544 5.4189 Bi
2.7553 -1.9544 5.5586 Bi
2.7553 -1.9544 10.9077 Bi
2.7553 -4.4069 8.2331 Bi
0.0000 0.0000 0.0000 Cl
0.0000 0.0000 5.4888 Cl
2.7553 0.1696 8.2331 Cl
2.7553 -0.1696 2.7444 Cl
1.3568 3.0127 6.8466 O
1.3568 3.0127 9.6196 O
1.3568 -3.0127 1.3579 O
1.3568 -3.0127 4.1309 O
4.1538 3.0127 6.8466 O
4.1538 3.0127 9.6196 O
4.1538 -3.0127 1.3579 O
4.1538 -3.0127 4.1309 O
```

- symmetry = No. 63

Verdict on stability: Q comes out on top.

P:
A geometry-optimized Bi2N3Cl9 structure, computed with PBE.

Structure (POSCAR):
```
Bi2N3Cl9
1.0
19.0988 0.0000 0.0000
0.0000 7.4231 0.0000
0.0000 0.0000 12.4864
Bi N Cl
8 12 36
Cartesian
0.1090 1.8558 2.8710 Bi
3.2622 5.5673 5.3797 Bi
6.2872 1.8558 11.6229 Bi
9.4404 5.5673 9.1142 Bi
9.6584 1.8558 3.3723 Bi
12.8116 5.5673 0.8635 Bi
15.8366 1.8558 7.1067 Bi
18.9898 5.5673 9.6155 Bi
1.8368 1.8558 7.5563 N
1.8282 5.5673 0.6803 N
4.5885 5.5673 9.0525 N
4.9610 1.8558 2.8093 N
7.7212 1.8558 6.9235 N
7.7126 5.5673 1.3131 N
11.3862 1.8558 11.1733 N
11.3776 5.5673 5.5629 N
14.1379 5.5673 9.6771 N
14.5104 1.8558 3.4339 N
17.2706 1.8558 11.8062 N
17.2620 5.5673 4.9301 N
1.1711 5.5673 7.2151 Cl
1.3200 0.0023 10.4209 Cl
1.3200 3.7092 10.4209 Cl
1.6372 1.8558 0.9106 Cl
1.7118 0.0212 4.0572 Cl
1.7118 3.6903 4.0572 Cl
4.4119 3.7179 6.5987 Cl
4.4119 7.4167 6.5987 Cl
4.7286 1.8558 9.6802 Cl
4.8208 5.5673 3.4370 Cl
5.1375 0.0064 0.3555 Cl
5.1375 3.7051 0.3555 Cl
7.8376 3.7328 10.3005 Cl
7.8376 7.4019 10.3005 Cl
7.9123 5.5673 7.1538 Cl
8.2294 7.4208 4.1777 Cl
8.2294 3.7139 4.1777 Cl
8.3783 1.8558 0.9719 Cl
10.7205 5.5673 11.5146 Cl
10.8694 0.0023 8.3088 Cl
10.8694 3.7092 8.3088 Cl
11.1866 1.8558 5.3326 Cl
11.2612 0.0212 2.1860 Cl
11.2612 3.6903 2.1860 Cl
13.9613 3.7179 12.1309 Cl
13.9613 7.4167 12.1309 Cl
14.2780 1.8558 9.0495 Cl
14.3703 5.5673 2.8063 Cl
14.6869 0.0064 5.8877 Cl
14.6869 3.7051 5.8877 Cl
17.3870 3.7328 8.4292 Cl
17.3870 7.4019 8.4292 Cl
17.4617 5.5673 11.5759 Cl
17.7788 7.4208 2.0655 Cl
17.7788 3.7139 2.0655 Cl
17.9278 1.8558 5.2714 Cl
```

- symmetry = No. 62

Q:
A geometry-optimized Bi2N3Cl9 structure, computed with PBE.

Structure (POSCAR):
```
Bi2N3Cl9
1.0
8.9499 0.0000 0.0000
-4.4750 7.7509 0.0000
0.0000 0.0000 20.4794
Bi N Cl
4 6 18
Cartesian
0.0000 5.1672 3.2444 Bi
0.0000 5.1672 6.9953 Bi
4.4750 2.5836 13.4841 Bi
4.4750 2.5836 17.2350 Bi
0.0000 0.0000 5.1199 N
0.0000 0.0000 15.3596 N
0.0000 5.1672 12.0527 N
0.0000 5.1672 18.6664 N
4.4750 2.5836 1.8130 N
4.4750 2.5836 8.4267 N
-1.7400 4.1627 5.1199 Cl
0.0000 3.0159 2.0676 Cl
0.0000 3.0159 8.1721 Cl
-1.8631 6.2429 2.0676 Cl
-1.8631 6.2429 8.1721 Cl
2.6118 1.5079 12.3073 Cl
2.6118 1.5079 18.4118 Cl
1.7400 4.1627 5.1199 Cl
0.0000 7.1764 5.1199 Cl
4.4750 0.5745 15.3596 Cl
2.7350 3.5882 15.3596 Cl
1.8631 6.2429 2.0676 Cl
1.8631 6.2429 8.1721 Cl
6.3381 1.5079 12.3073 Cl
6.3381 1.5079 18.4118 Cl
4.4750 4.7350 12.3073 Cl
4.4750 4.7350 18.4118 Cl
6.2149 3.5882 15.3596 Cl
```

- symmetry = No. 194

Verdict on stability: Q comes out on top.

P:
A geometry-optimized BiSeClO3 structure, computed with PBE.

Structure (POSCAR):
```
BiSeClO3
1.0
12.1824 0.0000 0.0000
0.0000 5.4297 0.0000
0.0000 0.0000 6.9527
Bi Se Cl O
4 4 4 12
Cartesian
0.5683 1.3574 1.4340 Bi
5.5229 4.0723 4.9104 Bi
6.6595 1.3574 2.0424 Bi
11.6141 4.0723 5.5187 Bi
2.5397 4.0723 0.1265 Se
3.5515 1.3574 3.6029 Se
8.6309 4.0723 3.3498 Se
9.6427 1.3574 6.8262 Se
0.6573 4.0723 2.7276 Cl
5.4339 1.3574 6.2040 Cl
6.7485 4.0723 0.7487 Cl
11.5251 1.3574 4.2251 Cl
1.3825 2.8006 6.7592 O
1.3825 5.3440 6.7592 O
2.7627 1.3574 2.0768 O
3.3285 4.0723 5.5532 O
4.7087 0.0857 3.2828 O
4.7087 2.6291 3.2828 O
7.4738 2.8006 3.6699 O
7.4738 5.3440 3.6699 O
8.8539 1.3574 1.3996 O
9.4198 4.0723 4.8759 O
10.7999 0.0857 0.1935 O
10.7999 2.6291 0.1935 O
```

- symmetry = No. 62

Q:
A geometry-optimized BiSeClO3 structure, computed with PBE.

Structure (POSCAR):
```
BiSeClO3
1.0
6.5833 0.0000 0.0000
0.0000 8.0607 0.0000
0.0000 0.0000 8.8841
Bi Se Cl O
4 4 4 12
Cartesian
0.2554 1.5694 2.8684 Bi
3.0362 6.4913 7.3104 Bi
3.5470 2.4609 6.0157 Bi
6.3279 5.5997 1.5737 Bi
0.9738 0.7131 8.4350 Se
2.3179 7.3476 3.9929 Se
4.2654 3.3173 0.4491 Se
5.6095 4.7434 4.8912 Se
1.6417 4.1502 7.5134 Cl
1.6499 3.9105 3.0714 Cl
4.9334 7.9408 1.3707 Cl
4.9415 0.1198 5.8127 Cl
0.8302 7.2031 3.0968 O
1.0886 7.0293 8.5784 O
1.5524 1.2617 1.0943 O
1.7393 6.7990 5.5363 O
2.2030 1.0313 4.1364 O
2.4615 0.8575 7.5389 O
4.1218 4.8879 5.7873 O
4.3803 5.0617 0.3057 O
4.8440 2.7686 7.7898 O
5.0309 5.2920 3.3478 O
5.4946 2.9990 4.7477 O
5.7531 3.1728 1.3452 O
```

- symmetry = No. 19

Verdict on stability: Q comes out on top.